1.
# Ba4PrRu3O12 PBE-GGA optimized geometry
# Uncorrected energy, eV per atom: -7.0337
# Energy above the lowest structure with this stoichiometry, kJ per mole of atoms: 0.27
# Energy relative to the elements, meV per atom: -2463
data_Ba4PrRu3O12
_cell_length_a 10.373
_cell_length_b 5.997
_cell_length_c 30.024
_cell_angle_alpha 90.00
_cell_angle_beta 91.07
_cell_angle_gamma 90.00
_symmetry_space_group_name_H-M 'C 1 2/m 1'
_symmetry_Int_Tables_number 12
_symmetry_space_group_name_Hall '-C 2y'
loop_
_atom_site_label
_atom_site_type_symbol
_atom_site_fract_x
_atom_site_fract_y
_atom_site_fract_z
_atom_site_occupancy
Ba1 Ba 0.002 0.000 0.218 1
Ba2 Ba 0.003 0.000 0.368 1
Ba3 Ba 0.163 0.500 0.115 1
Ba4 Ba 0.165 0.500 0.704 1
Ba5 Ba 0.166 0.500 0.964 1
Ba6 Ba 0.168 0.500 0.552 1
Pr1 Pr 0.000 0.000 0.500 1
Pr2 Pr 0.167 0.500 0.833 1
Ru1 Ru 0.000 0.000 0.000 1
Ru2 Ru 0.006 0.000 0.915 1
Ru3 Ru 0.163 0.500 0.418 1
Ru4 Ru 0.167 0.500 0.333 1
Ru5 Ru 0.171 0.500 0.248 1
O1 O 0.011 0.500 0.372 1
O2 O 0.021 0.500 0.210 1
O3 O 0.075 0.233 0.043 1
O4 O 0.082 0.268 0.453 1
O5 O 0.090 0.232 0.882 1
O6 O 0.091 0.267 0.291 1
O7 O 0.141 0.000 0.126 1
O8 O 0.158 0.000 0.962 1
O9 O 0.177 0.000 0.706 1
O10 O 0.187 0.000 0.543 1
O11 O 0.243 0.267 0.376 1
O12 O 0.247 0.233 0.785 1


2.
# CuTeO4 PBE-GGA optimized geometry
# Uncorrected energy, eV per atom: -5.2784
# Energy relative to the elements, meV per atom: -1231
data_CuTeO4
_cell_length_a 4.783
_cell_length_b 10.465
_cell_length_c 7.316
_cell_angle_alpha 90.00
_cell_angle_beta 130.04
_cell_angle_gamma 90.00
_symmetry_space_group_name_H-M 'P 1 21/c 1'
_symmetry_Int_Tables_number 14
_symmetry_space_group_name_Hall '-P 2ybc'
loop_
_atom_site_label
_atom_site_type_symbol
_atom_site_fract_x
_atom_site_fract_y
_atom_site_fract_z
_atom_site_occupancy
Cu1 Cu 0.000 0.000 0.000 1
Cu2 Cu 0.000 0.000 0.500 1
Te1 Te 0.262 0.249 0.294 1
O1 O 0.066 0.082 0.271 1
O2 O 0.242 0.680 0.967 1
O3 O 0.243 0.169 0.032 1
O4 O 0.419 0.093 0.759 1


3.
# Tb11In9Pd4 PBE-GGA optimized geometry
# Uncorrected energy, eV per atom: -4.6864
# Energy relative to the elements, meV per atom: -667
data_Tb11In9Pd4
_cell_length_a 15.034
_cell_length_b 21.722
_cell_length_c 3.687
_cell_angle_alpha 90.00
_cell_angle_beta 90.00
_cell_angle_gamma 90.00
_symmetry_space_group_name_H-M 'C m m m'
_symmetry_Int_Tables_number 65
_symmetry_space_group_name_Hall '-C 2 2'
loop_
_atom_site_label
_atom_site_type_symbol
_atom_site_fract_x
_atom_site_fract_y
_atom_site_fract_z
_atom_site_occupancy
Tb1 Tb 0.000 0.000 0.000 1
Tb2 Tb 0.000 0.158 0.000 1
Tb3 Tb 0.000 0.372 0.000 1
Tb4 Tb 0.191 0.500 0.000 1
Tb5 Tb 0.245 0.173 0.000 1
In1 In 0.000 0.500 0.500 1
In2 In 0.104 0.262 0.500 1
In3 In 0.145 0.072 0.500 1
Pd1 Pd 0.150 0.399 0.500 1


4.
# Sc2Fe3Si PBE-GGA optimized geometry
# Uncorrected energy, eV per atom: -7.7592
# Energy relative to the elements, meV per atom: -497
data_Sc2Fe3Si
_cell_length_a 4.9895
_cell_length_b 4.9895
_cell_length_c 7.9203
_cell_angle_alpha 90.00
_cell_angle_beta 90.00
_cell_angle_gamma 120.00
_symmetry_space_group_name_H-M 'P 63/m m c'
_symmetry_Int_Tables_number 194
_symmetry_space_group_name_Hall '-P 6c 2c'
loop_
_atom_site_label
_atom_site_type_symbol
_atom_site_fract_x
_atom_site_fract_y
_atom_site_fract_z
_atom_site_occupancy
Sc1 Sc 0.3333 0.6667 0.0625 1
Fe1 Fe 0.1711 0.3421 0.7500 1
Si1 Si 0.0000 0.0000 0.0000 1


5.
# NaTi2P3O12 PBE-GGA optimized geometry
# Uncorrected energy, eV per atom: -7.7152
# Energy above the lowest structure with this stoichiometry, kJ per mole of atoms: 0.00
# Energy relative to the elements, meV per atom: -3022
data_NaTi2P3O12
_cell_length_a 8.6168
_cell_length_b 8.6168
_cell_length_c 22.0215
_cell_angle_alpha 90.00
_cell_angle_beta 90.00
_cell_angle_gamma 120.00
_symmetry_space_group_name_H-M 'R -3 c'
_symmetry_Int_Tables_number 167
_symmetry_space_group_name_Hall '-R 3 2"c'
loop_
_atom_site_label
_atom_site_type_symbol
_atom_site_fract_x
_atom_site_fract_y
_atom_site_fract_z
_atom_site_occupancy
Na1 Na 0.0000 0.0000 0.0000 1
Ti1 Ti 0.0000 0.0000 0.1446 1
P1 P 0.0000 0.2872 0.2500 1
O1 O 0.0208 0.1957 0.1927 1
O2 O 0.0274 0.1922 0.9122 1


6.
# Ca2AlH8S2ClO12F2 PBE-GGA optimized geometry
# Uncorrected energy, eV per atom: -5.6895
# Energy relative to the elements, meV per atom: -2152
data_Ca2AlH8S2ClO12F2
_cell_length_a 6.963
_cell_length_b 6.963
_cell_length_c 13.221
_cell_angle_alpha 90.00
_cell_angle_beta 90.00
_cell_angle_gamma 90.00
_symmetry_space_group_name_H-M 'I 4/m'
_symmetry_Int_Tables_number 87
_symmetry_space_group_name_Hall '-I 4'
loop_
_atom_site_label
_atom_site_type_symbol
_atom_site_fract_x
_atom_site_fract_y
_atom_site_fract_z
_atom_site_occupancy
Ca1 Ca 0.000 0.000 0.198 1
Al1 Al 0.000 0.000 0.500 1
H1 H 0.097 0.338 0.439 1
S1 S 0.000 0.500 0.250 1
Cl1 Cl 0.000 0.000 0.000 1
O1 O 0.044 0.275 0.500 1
O2 O 0.063 0.662 0.184 1
F1 F 0.000 0.000 0.366 1


7.
# LiEu2Hg PBE-GGA optimized geometry
# Uncorrected energy, eV per atom: -5.9524
# Energy relative to the elements, meV per atom: -271
data_LiEu2Hg
_cell_length_a 7.842
_cell_length_b 7.842
_cell_length_c 7.842
_cell_angle_alpha 90.00
_cell_angle_beta 90.00
_cell_angle_gamma 90.00
_symmetry_space_group_name_H-M 'F m -3 m'
_symmetry_Int_Tables_number 225
_symmetry_space_group_name_Hall '-F 4 2 3'
loop_
_atom_site_label
_atom_site_type_symbol
_atom_site_fract_x
_atom_site_fract_y
_atom_site_fract_z
_atom_site_occupancy
Li1 Li 0.000 0.000 0.000 1
Eu1 Eu 0.250 0.250 0.250 1
Hg1 Hg 0.000 0.000 0.500 1


8.
# Rb2NaBiF6 PBE-GGA optimized geometry
# Uncorrected energy, eV per atom: -4.5076
# Energy relative to the elements, meV per atom: -2919
data_Rb2NaBiF6
_cell_length_a 9.179
_cell_length_b 9.179
_cell_length_c 9.179
_cell_angle_alpha 90.00
_cell_angle_beta 90.00
_cell_angle_gamma 90.00
_symmetry_space_group_name_H-M 'F m -3 m'
_symmetry_Int_Tables_number 225
_symmetry_space_group_name_Hall '-F 4 2 3'
loop_
_atom_site_label
_atom_site_type_symbol
_atom_site_fract_x
_atom_site_fract_y
_atom_site_fract_z
_atom_site_occupancy
Rb1 Rb 0.250 0.250 0.250 1
Na1 Na 0.000 0.000 0.000 1
Bi1 Bi 0.000 0.000 0.500 1
F1 F 0.000 0.000 0.252 1


9.
# Ni3Sn PBE-GGA optimized geometry
# Uncorrected energy, eV per atom: -5.5222
# Energy relative to the elements, meV per atom: -185
data_Ni3Sn
_cell_length_a 3.724
_cell_length_b 3.724
_cell_length_c 3.724
_cell_angle_alpha 90.00
_cell_angle_beta 90.00
_cell_angle_gamma 90.00
_symmetry_space_group_name_H-M 'P m -3 m'
_symmetry_Int_Tables_number 221
_symmetry_space_group_name_Hall '-P 4 2 3'
loop_
_atom_site_label
_atom_site_type_symbol
_atom_site_fract_x
_atom_site_fract_y
_atom_site_fract_z
_atom_site_occupancy
Ni1 Ni 0.000 0.000 0.500 1
Sn1 Sn 0.500 0.500 0.500 1


10.
# Li2H2Pt PBE-GGA optimized geometry
# Uncorrected energy, eV per atom: -3.8270
# Energy relative to the elements, meV per atom: -492
data_Li2H2Pt
_cell_length_a 3.130
_cell_length_b 3.196
_cell_length_c 10.122
_cell_angle_alpha 90.00
_cell_angle_beta 90.00
_cell_angle_gamma 90.00
_symmetry_space_group_name_H-M 'I m m m'
_symmetry_Int_Tables_number 71
_symmetry_space_group_name_Hall '-I 2 2'
loop_
_atom_site_label
_atom_site_type_symbol
_atom_site_fract_x
_atom_site_fract_y
_atom_site_fract_z
_atom_site_occupancy
Li1 Li 0.000 0.000 0.138 1
H1 H 0.000 0.000 0.335 1
Pt1 Pt 0.000 0.000 0.500 1


11.
# GdCd2 PBE-GGA optimized geometry
# Uncorrected energy, eV per atom: -5.6291
# Energy relative to the elements, meV per atom: -322
data_GdCd2
_cell_length_a 4.9754
_cell_length_b 4.9754
_cell_length_c 3.3415
_cell_angle_alpha 90.00
_cell_angle_beta 90.00
_cell_angle_gamma 120.00
_symmetry_space_group_name_H-M 'P 6/m m m'
_symmetry_Int_Tables_number 191
_symmetry_space_group_name_Hall '-P 6 2'
loop_
_atom_site_label
_atom_site_type_symbol
_atom_site_fract_x
_atom_site_fract_y
_atom_site_fract_z
_atom_site_occupancy
Gd1 Gd 0.0000 0.0000 0.0000 1
Cd1 Cd 0.3333 0.6667 0.5000 1


12.
# Cd2InCuTe4 PBE-GGA optimized geometry
# Uncorrected energy, eV per atom: -3.0121
# Energy relative to the elements, meV per atom: -564
data_Cd2InCuTe4
_cell_length_a 6.461
_cell_length_b 6.461
_cell_length_c 12.889
_cell_angle_alpha 90.00
_cell_angle_beta 90.00
_cell_angle_gamma 90.00
_symmetry_space_group_name_H-M 'I -4 2 m'
_symmetry_Int_Tables_number 121
_symmetry_space_group_name_Hall 'I -4 2'
loop_
_atom_site_label
_atom_site_type_symbol
_atom_site_fract_x
_atom_site_fract_y
_atom_site_fract_z
_atom_site_occupancy
Cd1 Cd 0.000 0.500 0.250 1
In1 In 0.000 0.000 0.000 1
Cu1 Cu 0.000 0.000 0.500 1
Te1 Te 0.235 0.235 0.383 1


Copy entry 1 word for word.
# Ba4PrRu3O12 PBE-GGA optimized geometry
# Uncorrected energy, eV per atom: -7.0337
# Energy above the lowest structure with this stoichiometry, kJ per mole of atoms: 0.27
# Energy relative to the elements, meV per atom: -2463
data_Ba4PrRu3O12
_cell_length_a 10.373
_cell_length_b 5.997
_cell_length_c 30.024
_cell_angle_alpha 90.00
_cell_angle_beta 91.07
_cell_angle_gamma 90.00
_symmetry_space_group_name_H-M 'C 1 2/m 1'
_symmetry_Int_Tables_number 12
_symmetry_space_group_name_Hall '-C 2y'
loop_
_atom_site_label
_atom_site_type_symbol
_atom_site_fract_x
_atom_site_fract_y
_atom_site_fract_z
_atom_site_occupancy
Ba1 Ba 0.002 0.000 0.218 1
Ba2 Ba 0.003 0.000 0.368 1
Ba3 Ba 0.163 0.500 0.115 1
Ba4 Ba 0.165 0.500 0.704 1
Ba5 Ba 0.166 0.500 0.964 1
Ba6 Ba 0.168 0.500 0.552 1
Pr1 Pr 0.000 0.000 0.500 1
Pr2 Pr 0.167 0.500 0.833 1
Ru1 Ru 0.000 0.000 0.000 1
Ru2 Ru 0.006 0.000 0.915 1
Ru3 Ru 0.163 0.500 0.418 1
Ru4 Ru 0.167 0.500 0.333 1
Ru5 Ru 0.171 0.500 0.248 1
O1 O 0.011 0.500 0.372 1
O2 O 0.021 0.500 0.210 1
O3 O 0.075 0.233 0.043 1
O4 O 0.082 0.268 0.453 1
O5 O 0.090 0.232 0.882 1
O6 O 0.091 0.267 0.291 1
O7 O 0.141 0.000 0.126 1
O8 O 0.158 0.000 0.962 1
O9 O 0.177 0.000 0.706 1
O10 O 0.187 0.000 0.543 1
O11 O 0.243 0.267 0.376 1
O12 O 0.247 0.233 0.785 1